Record 1
{
  "formula": "NaMo4O6",
  "functional": "PBE with a Hubbard U",
  "state": "relaxed",
  "cell": [[3.807, 0.000, 0.000], [0.000, 8.848, 0.000], [0.000, 0.000, 8.848]],
  "species": ["Na", "Na", "Mo", "Mo", "Mo", "Mo", "Mo", "Mo", "Mo", "Mo", "O", "O", "O", "O", "O", "O", "O", "O", "O", "O", "O", "O"],
  "frac_coords": [[0.000, 0.500, 0.500], [0.000, 0.000, 0.000], [0.000, 0.611, 0.889], [0.000, 0.111, 0.611], [0.000, 0.889, 0.389], [0.000, 0.389, 0.111], [0.500, 0.784, 0.716], [0.500, 0.284, 0.784], [0.500, 0.716, 0.216], [0.500, 0.216, 0.284], [0.500, 0.460, 0.245], [0.500, 0.540, 0.755], [0.500, 0.245, 0.540], [0.500, 0.755, 0.460], [0.500, 0.745, 0.960], [0.500, 0.040, 0.745], [0.500, 0.960, 0.255], [0.500, 0.255, 0.040], [0.000, 0.835, 0.665], [0.000, 0.335, 0.835], [0.000, 0.165, 0.335], [0.000, 0.665, 0.165]],
  "spacegroup": "P4/mbm (127)",
  "e_above_lowest_polymorph_ev_per_atom": 0.3153,
  "formation_energy_ev_per_atom": -1.126
}

=====

Record 2
{
  "formula": "NaMo4O14",
  "functional": "PBE with a Hubbard U",
  "state": "relaxed",
  "cell": [[3.813, 3.809, 0.000], [-3.813, 3.809, 0.000], [0.000, 1.881, 9.980]],
  "species": ["Na", "Mo", "Mo", "Mo", "Mo", "O", "O", "O", "O", "O", "O", "O", "O", "O", "O", "O", "O", "O", "O"],
  "frac_coords": [[0.997, 0.003, 0.000], [0.858, 0.824, 0.646], [0.351, 0.315, 0.652], [0.176, 0.142, 0.354], [0.685, 0.649, 0.348], [0.610, 0.080, 0.622], [0.110, 0.574, 0.628], [0.920, 0.390, 0.378], [0.426, 0.890, 0.372], [0.421, 0.390, 0.385], [0.911, 0.875, 0.416], [0.610, 0.579, 0.615], [0.125, 0.089, 0.584], [0.279, 0.238, 0.823], [0.849, 0.825, 0.817], [0.762, 0.721, 0.177], [0.175, 0.151, 0.183], [0.432, 0.568, 0.000], [0.594, 0.406, 0.000]],
  "spacegroup": "C2 (5)",
  "formation_energy_ev_per_atom": -1.431
}

=====

Record 3
{
  "formula": "Na3MoO4",
  "functional": "PBE with a Hubbard U",
  "state": "relaxed",
  "cell": [[5.664, 0.000, 0.000], [0.000, 6.217, 0.000], [0.000, 0.000, 7.466]],
  "species": ["Na", "Na", "Na", "Na", "Na", "Na", "Mo", "Mo", "O", "O", "O", "O", "O", "O", "O", "O"],
  "frac_coords": [[0.504, 0.828, 0.256], [0.004, 0.172, 0.244], [0.004, 0.172, 0.756], [0.504, 0.828, 0.744], [0.500, 0.341, 0.000], [0.000, 0.659, 0.500], [0.015, 0.675, 0.000], [0.515, 0.325, 0.500], [0.920, 0.805, 0.215], [0.420, 0.195, 0.285], [0.420, 0.195, 0.715], [0.920, 0.805, 0.785], [0.344, 0.692, 0.000], [0.844, 0.308, 0.500], [0.906, 0.390, 0.000], [0.406, 0.610, 0.500]],
  "spacegroup": "Pmn2_1 (31)",
  "formation_energy_ev_per_atom": -1.984
}

=====

Record 4
{
  "formula": "Na6Mo11O36",
  "functional": "PBE with a Hubbard U",
  "state": "relaxed",
  "cell": [[-1.049, -7.097, 6.717], [7.248, 6.020, -2.793], [-6.902, 15.482, 15.332]],
  "species": ["Na", "Na", "Na", "Na", "Na", "Na", "Na", "Na", "Na", "Na", "Na", "Na", "Mo", "Mo", "Mo", "Mo", "Mo", "Mo", "Mo", "Mo", "Mo", "Mo", "Mo", "Mo", "Mo", "Mo", "Mo", "Mo", "Mo", "Mo", "Mo", "Mo", "Mo", "Mo", "O", "O", "O", "O", "O", "O", "O", "O", "O", "O", "O", "O", "O", "O", "O", "O", "O", "O", "O", "O", "O", "O", "O", "O", "O", "O", "O", "O", "O", "O", "O", "O", "O", "O", "O", "O", "O", "O", "O", "O", "O", "O", "O", "O", "O", "O", "O", "O", "O", "O", "O", "O", "O", "O", "O", "O", "O", "O", "O", "O", "O", "O", "O", "O", "O", "O", "O", "O", "O", "O", "O", "O"],
  "frac_coords": [[0.019, 0.514, 0.170], [0.486, 0.484, 0.589], [0.500, 0.000, 0.500], [0.503, 0.497, 0.750], [0.486, 0.981, 0.330], [0.514, 0.516, 0.411], [0.514, 0.019, 0.670], [0.981, 0.486, 0.830], [0.516, 0.514, 0.911], [0.000, 0.500, 0.000], [0.484, 0.486, 0.089], [0.497, 0.503, 0.250], [0.873, 0.561, 0.677], [0.943, 0.134, 0.085], [0.452, 0.116, 0.171], [0.451, 0.140, 0.002], [0.866, 0.057, 0.415], [0.860, 0.549, 0.498], [0.140, 0.451, 0.502], [0.134, 0.943, 0.585], [0.042, 0.860, 0.084], [0.930, 0.070, 0.750], [0.116, 0.452, 0.671], [0.070, 0.930, 0.250], [0.884, 0.548, 0.329], [0.548, 0.884, 0.829], [0.958, 0.140, 0.916], [0.127, 0.439, 0.323], [0.549, 0.860, 0.998], [0.140, 0.958, 0.416], [0.561, 0.873, 0.177], [0.057, 0.866, 0.915], [0.860, 0.042, 0.584], [0.439, 0.127, 0.823], [0.871, 0.062, 0.998], [0.484, 0.666, 0.834], [0.194, 0.172, 0.257], [0.941, 0.146, 0.339], [0.633, 0.464, 0.497], [0.103, 0.428, 0.248], [0.365, 0.038, 0.418], [0.808, 0.335, 0.499], [0.150, 0.171, 0.084], [0.060, 0.362, 0.423], [0.038, 0.365, 0.918], [0.831, 0.351, 0.657], [0.637, 0.962, 0.754], [0.358, 0.054, 0.082], [0.362, 0.060, 0.923], [0.927, 0.121, 0.665], [0.829, 0.850, 0.416], [0.428, 0.103, 0.748], [0.828, 0.806, 0.243], [0.682, 0.196, 0.170], [0.367, 0.041, 0.581], [0.649, 0.169, 0.843], [0.121, 0.927, 0.165], [0.822, 0.796, 0.082], [0.536, 0.367, 0.003], [0.959, 0.633, 0.919], [0.516, 0.334, 0.166], [0.962, 0.637, 0.254], [0.642, 0.946, 0.918], [0.475, 0.645, 0.166], [0.059, 0.854, 0.661], [0.635, 0.962, 0.582], [0.897, 0.572, 0.752], [0.962, 0.635, 0.082], [0.041, 0.367, 0.081], [0.464, 0.633, 0.997], [0.171, 0.150, 0.584], [0.806, 0.828, 0.743], [0.351, 0.831, 0.157], [0.938, 0.129, 0.502], [0.879, 0.073, 0.835], [0.334, 0.516, 0.666], [0.172, 0.194, 0.757], [0.335, 0.808, 0.999], [0.196, 0.682, 0.670], [0.572, 0.897, 0.252], [0.363, 0.038, 0.246], [0.355, 0.525, 0.334], [0.946, 0.642, 0.418], [0.169, 0.649, 0.343], [0.666, 0.484, 0.334], [0.850, 0.829, 0.916], [0.796, 0.822, 0.582], [0.054, 0.358, 0.582], [0.854, 0.059, 0.161], [0.062, 0.871, 0.498], [0.204, 0.178, 0.418], [0.804, 0.318, 0.330], [0.073, 0.879, 0.335], [0.146, 0.941, 0.839], [0.192, 0.665, 0.501], [0.645, 0.475, 0.666], [0.367, 0.536, 0.503], [0.940, 0.638, 0.577], [0.633, 0.959, 0.419], [0.129, 0.938, 0.002], [0.665, 0.192, 0.001], [0.038, 0.363, 0.746], [0.525, 0.355, 0.834], [0.638, 0.940, 0.077], [0.178, 0.204, 0.918], [0.318, 0.804, 0.830]],
  "spacegroup": "C2/c (15)",
  "formation_energy_ev_per_atom": -2.033
}

=====

Record 5
{
  "formula": "Na4MoO5",
  "functional": "PBE with a Hubbard U",
  "state": "relaxed",
  "cell": [[5.729, 0.000, 0.000], [-1.111, 10.064, 0.000], [-1.157, -4.177, 9.185]],
  "species": ["Na", "Na", "Na", "Na", "Na", "Na", "Na", "Na", "Na", "Na", "Na", "Na", "Na", "Na", "Na", "Na", "Mo", "Mo", "Mo", "Mo", "O", "O", "O", "O", "O", "O", "O", "O", "O", "O", "O", "O", "O", "O", "O", "O", "O", "O", "O", "O"],
  "frac_coords": [[0.734, 0.644, 0.842], [0.782, 0.452, 0.067], [0.218, 0.548, 0.933], [0.756, 0.054, 0.462], [0.000, 0.000, 0.000], [0.500, 0.500, 0.500], [0.510, 0.103, 0.911], [0.490, 0.897, 0.089], [0.002, 0.398, 0.598], [0.998, 0.602, 0.402], [0.285, 0.156, 0.360], [0.715, 0.844, 0.640], [0.983, 0.195, 0.805], [0.017, 0.805, 0.195], [0.266, 0.356, 0.158], [0.244, 0.946, 0.538], [0.521, 0.702, 0.262], [0.479, 0.298, 0.738], [0.213, 0.785, 0.754], [0.787, 0.215, 0.246], [0.806, 0.397, 0.812], [0.937, 0.644, 0.651], [0.063, 0.356, 0.349], [0.194, 0.603, 0.188], [0.887, 0.042, 0.227], [0.113, 0.958, 0.773], [0.865, 0.228, 0.069], [0.135, 0.772, 0.931], [0.405, 0.464, 0.711], [0.595, 0.536, 0.289], [0.197, 0.188, 0.597], [0.803, 0.812, 0.403], [0.375, 0.320, 0.908], [0.625, 0.680, 0.092], [0.668, 0.271, 0.424], [0.332, 0.729, 0.576], [0.601, 0.117, 0.682], [0.540, 0.849, 0.851], [0.460, 0.151, 0.149], [0.399, 0.883, 0.318]],
  "spacegroup": "P-1 (2)",
  "formation_energy_ev_per_atom": -2.021
}

=====

Record 6
{
  "formula": "Na2Mo2O7",
  "functional": "PBE with a Hubbard U",
  "state": "relaxed",
  "cell": [[3.634, 2.023, -5.683], [-7.016, -0.255, -0.559], [-0.886, 14.398, 4.558]],
  "species": ["Na", "Na", "Na", "Na", "Na", "Na", "Na", "Na", "Mo", "Mo", "Mo", "Mo", "Mo", "Mo", "Mo", "Mo", "O", "O", "O", "O", "O", "O", "O", "O", "O", "O", "O", "O", "O", "O", "O", "O", "O", "O", "O", "O", "O", "O", "O", "O", "O", "O", "O", "O"],
  "frac_coords": [[0.317, 0.683, 0.349], [0.183, 0.817, 0.849], [0.683, 0.317, 0.651], [0.817, 0.183, 0.151], [0.250, 0.250, 0.000], [0.250, 0.250, 0.500], [0.750, 0.750, 0.000], [0.750, 0.750, 0.500], [0.244, 0.756, 0.086], [0.256, 0.744, 0.586], [0.756, 0.244, 0.914], [0.744, 0.256, 0.414], [0.329, 0.171, 0.250], [0.171, 0.329, 0.750], [0.671, 0.829, 0.750], [0.829, 0.671, 0.250], [0.361, 0.639, 0.503], [0.139, 0.861, 0.003], [0.639, 0.361, 0.497], [0.861, 0.139, 0.997], [0.375, 0.625, 0.033], [0.125, 0.875, 0.533], [0.625, 0.375, 0.967], [0.875, 0.125, 0.467], [0.118, 0.882, 0.282], [0.382, 0.618, 0.782], [0.882, 0.118, 0.718], [0.618, 0.382, 0.218], [0.712, 0.688, 0.663], [0.788, 0.812, 0.163], [0.688, 0.712, 0.337], [0.812, 0.788, 0.837], [0.929, 0.474, 0.344], [0.571, 0.026, 0.844], [0.474, 0.929, 0.656], [0.026, 0.571, 0.156], [0.071, 0.526, 0.656], [0.429, 0.974, 0.156], [0.526, 0.071, 0.344], [0.974, 0.429, 0.844], [0.188, 0.212, 0.163], [0.312, 0.288, 0.663], [0.212, 0.188, 0.837], [0.288, 0.312, 0.337]],
  "spacegroup": "Cmce (64)",
  "formation_energy_ev_per_atom": -2.108
}

=====

Record 7
{
  "formula": "NaMoO3",
  "functional": "PBE with a Hubbard U",
  "state": "relaxed",
  "cell": [[-0.979, 1.349, 3.580], [-1.707, -3.461, 0.837], [3.424, -1.340, 1.441]],
  "species": ["Na", "Mo", "O", "O", "O"],
  "frac_coords": [[0.500, 0.500, 0.500], [0.000, 0.000, 0.000], [0.500, 0.000, 0.000], [0.000, 0.500, 0.000], [0.000, 0.000, 0.500]],
  "spacegroup": "Pm-3m (221)",
  "formation_energy_ev_per_atom": -2.019
}

=====

Record 8
{
  "formula": "Na6Mo10O33",
  "functional": "PBE with a Hubbard U",
  "state": "relaxed",
  "cell": [[-0.849, -5.691, 5.092], [-3.625, -5.685, -4.683], [8.287, -8.691, -2.845]],
  "species": ["Na", "Na", "Na", "Na", "Na", "Na", "Mo", "Mo", "Mo", "Mo", "Mo", "Mo", "Mo", "Mo", "Mo", "Mo", "O", "O", "O", "O", "O", "O", "O", "O", "O", "O", "O", "O", "O", "O", "O", "O", "O", "O", "O", "O", "O", "O", "O", "O", "O", "O", "O", "O", "O", "O", "O", "O", "O"],
  "frac_coords": [[0.895, 0.659, 0.216], [0.367, 0.613, 0.239], [0.633, 0.387, 0.761], [0.105, 0.341, 0.784], [0.855, 0.153, 0.233], [0.145, 0.847, 0.767], [0.288, 0.392, 0.018], [0.952, 0.230, 0.493], [0.712, 0.608, 0.982], [0.449, 0.228, 0.499], [0.281, 0.983, 0.026], [0.324, 0.069, 0.318], [0.551, 0.772, 0.501], [0.719, 0.017, 0.974], [0.048, 0.770, 0.507], [0.676, 0.931, 0.682], [0.711, 0.542, 0.133], [0.218, 0.187, 0.472], [0.610, 0.075, 0.768], [0.220, 0.010, 0.895], [0.852, 0.814, 0.926], [0.390, 0.925, 0.232], [0.063, 0.617, 0.641], [0.148, 0.186, 0.074], [0.665, 0.713, 0.373], [0.780, 0.990, 0.105], [0.301, 0.836, 0.481], [0.289, 0.458, 0.867], [0.335, 0.287, 0.627], [0.699, 0.164, 0.519], [0.063, 0.033, 0.379], [0.488, 0.420, 0.388], [0.152, 0.823, 0.135], [0.937, 0.383, 0.359], [0.535, 0.061, 0.376], [0.328, 0.276, 0.212], [0.512, 0.580, 0.612], [0.937, 0.967, 0.621], [0.848, 0.177, 0.865], [0.113, 0.527, 0.079], [0.100, 0.658, 0.402], [0.672, 0.724, 0.788], [0.484, 0.156, 0.992], [0.465, 0.939, 0.624], [0.500, 0.500, 0.000], [0.782, 0.813, 0.528], [0.887, 0.473, 0.921], [0.900, 0.342, 0.598], [0.516, 0.844, 0.008]],
  "spacegroup": "P-1 (2)",
  "formation_energy_ev_per_atom": -2.027
}

=====

Record 9
{
  "formula": "NaMo4O6",
  "functional": "PBE with a Hubbard U",
  "state": "relaxed",
  "cell": [[-7.488, -0.006, -2.911], [1.366, -6.686, -3.500], [-2.420, -3.757, 6.233]],
  "species": ["Na", "Na", "Mo", "Mo", "Mo", "Mo", "Mo", "Mo", "Mo", "Mo", "O", "O", "O", "O", "O", "O", "O", "O", "O", "O", "O", "O"],
  "frac_coords": [[0.000, 0.500, 0.500], [0.000, 0.000, 0.000], [0.000, 0.345, 0.155], [0.000, 0.155, 0.655], [0.000, 0.845, 0.345], [0.000, 0.655, 0.845], [0.500, 0.756, 0.744], [0.500, 0.256, 0.756], [0.500, 0.744, 0.244], [0.500, 0.244, 0.256], [0.500, 0.496, 0.250], [0.500, 0.504, 0.750], [0.500, 0.250, 0.504], [0.500, 0.750, 0.496], [0.500, 0.750, 0.996], [0.500, 0.004, 0.750], [0.500, 0.996, 0.250], [0.500, 0.250, 0.004], [0.000, 0.859, 0.641], [0.000, 0.359, 0.859], [0.000, 0.141, 0.359], [0.000, 0.641, 0.141]],
  "spacegroup": "P4/mbm (127)",
  "e_above_lowest_polymorph_ev_per_atom": 0.6334,
  "formation_energy_ev_per_atom": -0.808
}

=====

Record 10
{
  "formula": "NaMo4O6",
  "functional": "PBE with a Hubbard U",
  "state": "relaxed",
  "cell": [[-9.200, 2.026, 3.404], [-0.627, -9.244, 3.806], [1.274, 1.069, 2.807]],
  "species": ["Na", "Na", "Mo", "Mo", "Mo", "Mo", "Mo", "Mo", "Mo", "Mo", "O", "O", "O", "O", "O", "O", "O", "O", "O", "O", "O", "O"],
  "frac_coords": [[0.500, 0.500, 0.000], [0.000, 0.000, 0.000], [0.616, 0.884, 0.500], [0.384, 0.116, 0.500], [0.116, 0.616, 0.500], [0.884, 0.384, 0.500], [0.847, 0.653, 0.000], [0.153, 0.347, 0.000], [0.347, 0.847, 0.000], [0.653, 0.153, 0.000], [0.704, 0.796, 0.000], [0.296, 0.204, 0.000], [0.204, 0.704, 0.000], [0.796, 0.296, 0.000], [0.752, 0.549, 0.500], [0.248, 0.451, 0.500], [0.252, 0.951, 0.500], [0.748, 0.049, 0.500], [0.451, 0.752, 0.500], [0.549, 0.248, 0.500], [0.049, 0.252, 0.500], [0.951, 0.748, 0.500]],
  "spacegroup": "P4/mbm (127)",
  "e_above_lowest_polymorph_ev_per_atom": 0.0000,
  "formation_energy_ev_per_atom": -1.441
}

=====

Record 11
{
  "formula": "NaMo2P4O14",
  "functional": "PBE with a Hubbard U",
  "state": "relaxed",
  "cell": [[-1.620, -4.094, 2.320], [6.862, 0.798, 1.806], [-2.492, 5.011, 6.320]],
  "species": ["Na", "Mo", "Mo", "P", "P", "P", "P", "O", "O", "O", "O", "O", "O", "O", "O", "O", "O", "O", "O", "O", "O"],
  "frac_coords": [[0.595, 0.990, 0.026], [0.500, 0.001, 0.501], [0.000, 0.501, 0.000], [0.477, 0.369, 0.243], [0.523, 0.631, 0.757], [0.880, 0.757, 0.306], [0.120, 0.242, 0.695], [0.690, 0.895, 0.318], [0.310, 0.105, 0.680], [0.875, 0.192, 0.568], [0.125, 0.808, 0.432], [0.229, 0.443, 0.201], [0.771, 0.558, 0.799], [0.031, 0.245, 0.865], [0.967, 0.755, 0.135], [0.297, 0.458, 0.650], [0.703, 0.542, 0.350], [0.627, 0.320, 0.098], [0.374, 0.680, 0.902], [0.607, 0.805, 0.651], [0.394, 0.195, 0.349]],
  "spacegroup": "P1 (1)",
  "formation_energy_ev_per_atom": -2.540
}